No. 1
Entry from the Materials Project: an optimized crystal structure of LiMnPO4 (PBE with a Hubbard U).

## Properties
* largest piezoelectric modulus: 0.45 C/m2
* symmetry: Pna2_1, No. 33

```
28
Lattice="11.195 0.000 0.000 0.000 6.328 0.000 0.000 0.000 5.229" Properties=species:S:1:pos:R:3 pbc="T T T"
Li 1.877 0.128 0.000
Li 3.720 3.292 2.615
Li 7.474 3.035 0.000
Li 9.318 6.199 2.615
Mn 0.903 1.862 2.589
Mn 4.694 5.026 5.204
Mn 6.500 1.302 2.589
Mn 10.292 4.466 5.204
P 2.005 3.306 5.223
P 3.592 0.142 2.608
P 7.602 6.186 5.223
P 9.190 3.022 2.608
O 1.130 4.563 4.886
O 1.307 2.033 4.638
O 2.098 3.168 1.535
O 2.170 0.295 1.993
O 3.427 3.459 4.608
O 3.499 0.004 4.150
O 4.290 5.197 2.023
O 4.468 1.400 2.272
O 6.727 4.928 4.886
O 6.904 1.131 4.638
O 7.696 6.324 1.535
O 7.768 2.869 1.993
O 9.024 6.033 4.608
O 9.096 3.160 4.150
O 9.887 4.295 2.023
O 10.065 1.764 2.272
```

***

No. 2
Entry from the Materials Project: an optimized crystal structure of LiMnPO4 (PBE with a Hubbard U).

## Properties
* symmetry: Pc, No. 7

```
28
Lattice="8.241 0.000 0.000 0.000 5.334 0.000 -2.372 0.000 8.272" Properties=species:S:1:pos:R:3 pbc="T T T"
Li 0.000 0.859 0.000
Li -1.186 4.475 4.136
Li 2.472 1.729 5.534
Li 3.658 3.605 1.398
Mn -0.087 1.811 2.959
Mn -1.273 3.523 7.095
Mn 4.977 0.941 0.456
Mn 3.792 4.393 4.592
P 2.448 0.935 2.426
P 1.262 4.398 6.562
P 5.695 1.705 5.161
P 6.881 3.629 1.025
O -1.850 1.597 6.552
O -0.664 3.736 2.416
O 1.240 0.987 1.447
O 0.054 4.347 5.583
O 1.886 1.603 3.721
O 0.700 3.731 7.858
O 1.737 0.518 6.871
O 2.923 4.816 2.735
O 3.658 1.726 1.849
O 2.472 3.608 5.985
O 4.325 0.998 5.208
O 5.511 4.335 1.072
O 6.724 2.088 0.730
O 5.538 3.245 4.866
O 6.581 1.049 4.064
O 5.395 4.285 8.201
```

***

No. 3
Entry from the Materials Project: an optimized crystal structure of LiMnP2O7 (PBE with a Hubbard U).

## Properties
* symmetry: P1, No. 1

```
88
Lattice="9.751 0.000 0.000 -0.038 9.754 0.000 -2.280 -0.042 10.937" Properties=species:S:1:pos:R:3 pbc="T T T"
Li 0.000 0.000 0.000
Li -0.818 5.966 4.630
Li -0.520 2.965 5.621
Li 2.498 2.822 10.930
Li 4.033 6.570 4.646
Li 4.332 9.456 5.562
Li 5.262 4.695 10.143
Li 5.812 7.633 10.361
Mn -0.508 7.977 7.039
Mn 1.126 5.854 1.571
Mn -0.038 1.090 8.827
Mn 1.296 3.050 3.282
Mn 4.370 4.485 6.997
Mn 5.824 6.534 1.505
Mn 4.760 1.684 8.795
Mn 6.143 9.397 3.234
P -0.663 0.294 4.390
P -1.693 5.834 9.389
P 1.413 5.284 6.001
P 2.640 1.005 0.987
P 1.660 3.103 7.991
P 3.167 8.158 2.412
P 2.570 9.254 8.014
P 4.129 4.543 2.362
P 3.074 6.589 9.398
P 4.223 2.398 4.381
P 6.282 7.161 5.999
P 7.495 1.780 0.952
P 6.539 9.331 8.009
P 8.092 4.348 2.377
P 7.472 3.200 8.009
P 8.936 7.953 2.338
O -1.633 4.644 8.300
O -1.611 2.216 8.994
O -0.084 4.238 2.054
O -0.290 9.309 3.018
O 0.013 6.799 2.974
O -0.091 1.694 4.250
O -0.971 7.001 8.684
O -0.113 9.254 5.557
O -0.941 5.335 10.640
O 0.715 4.407 4.927
O -0.424 0.446 10.667
O 0.668 6.599 6.161
O 1.788 2.114 1.652
O 0.773 2.055 7.251
O 1.211 4.530 7.421
O 1.045 9.234 8.392
O 2.538 7.176 1.398
O 2.517 9.577 2.081
O 2.620 4.661 2.634
O 1.336 2.967 9.447
O 2.679 2.355 4.428
O 1.682 6.302 9.786
O 2.932 7.894 3.856
O 2.908 5.430 5.787
O 4.061 1.305 0.692
O 2.832 9.514 6.582
O 3.195 2.998 7.683
O 4.607 4.557 0.933
O 3.175 7.783 8.318
O 3.309 0.453 9.029
O 4.737 8.265 2.063
O 4.628 3.174 3.022
O 4.907 5.708 3.060
O 4.814 1.005 4.215
O 3.923 5.442 8.725
O 4.810 3.180 5.561
O 3.970 7.067 10.623
O 5.552 8.012 4.938
O 4.436 2.401 10.665
O 5.578 5.821 6.183
O 6.693 0.632 1.564
O 5.693 0.674 7.353
O 6.048 7.929 7.407
O 5.938 3.292 8.456
O 7.459 5.261 1.290
O 7.465 2.901 2.121
O 7.431 7.801 2.656
O 6.239 9.291 9.481
O 7.532 0.327 4.408
O 7.821 4.682 3.797
O 6.591 6.059 9.685
O 7.779 7.047 5.794
O 8.909 1.525 0.580
O 7.656 2.954 6.563
O 9.277 8.066 0.878
O 8.046 9.470 7.667
```

***

No. 4
Entry from the Materials Project: an optimized crystal structure of LiMnPO4 (PBE with a Hubbard U).

## Properties
* symmetry: Pnma, No. 62

```
28
Lattice="6.356 0.000 0.000 0.000 5.620 0.000 0.000 0.000 8.502" Properties=species:S:1:pos:R:3 pbc="T T T"
Li 1.548 1.405 0.728
Li 1.630 4.215 4.980
Li 4.726 1.405 3.523
Li 4.808 4.215 7.774
Mn 0.007 1.405 6.364
Mn 3.171 4.215 2.113
Mn 3.185 1.405 6.389
Mn 6.349 4.215 2.138
P 1.563 1.405 3.380
P 1.615 4.215 7.631
P 4.741 1.405 0.871
P 4.793 4.215 5.122
O 0.278 1.405 4.224
O 0.350 4.215 0.005
O 1.578 0.154 2.412
O 1.578 2.655 2.412
O 1.600 2.964 6.663
O 1.600 5.465 6.663
O 2.828 1.405 4.256
O 2.900 4.215 8.475
O 3.455 1.405 0.027
O 3.528 4.215 4.246
O 4.756 0.154 1.839
O 4.756 2.655 1.839
O 4.778 2.964 6.090
O 4.778 5.465 6.090
O 6.006 1.405 8.497
O 6.078 4.215 4.278
```

***

No. 5
Entry from the Materials Project: an optimized crystal structure of LiMnP2O7 (PBE with a Hubbard U).

## Properties
* symmetry: P1, No. 1

```
88
Lattice="9.719 0.000 0.000 -0.029 9.954 0.000 -0.063 -1.796 10.966" Properties=species:S:1:pos:R:3 pbc="T T T"
Li 0.000 0.000 0.000
Li 0.152 2.611 10.643
Li 2.348 0.931 10.221
Li 3.143 8.756 4.510
Li 5.185 5.972 10.224
Li 5.562 1.651 5.009
Li 8.266 1.521 5.516
Li 9.055 6.551 5.435
Mn 0.528 1.074 3.194
Mn 2.051 4.288 6.658
Mn 3.479 0.372 1.221
Mn 4.001 5.396 1.202
Mn 5.362 -0.711 6.782
Mn 6.827 6.030 3.190
Mn 8.202 -0.137 8.641
Mn 8.727 4.948 8.685
P 0.598 7.579 7.876
P 0.627 1.623 7.764
P 1.894 7.694 2.064
P 1.926 3.732 2.148
P 2.670 1.258 5.680
P 3.305 8.152 9.082
P 4.070 3.235 9.092
P 4.628 6.230 5.666
P 5.419 8.715 2.170
P 5.485 2.761 2.050
P 6.702 2.472 7.754
P 6.762 6.535 7.733
P 7.534 9.097 4.191
P 8.182 2.181 0.796
P 8.924 7.107 0.807
P 9.526 4.133 4.207
O 0.229 7.827 6.461
O 0.450 7.026 1.823
O 0.614 4.332 2.828
O 0.596 4.832 5.333
O 0.616 3.129 7.414
O 0.604 6.091 8.366
O 0.663 1.311 9.240
O 1.815 9.200 1.547
O 1.862 4.008 0.659
O 1.877 0.502 4.583
O 1.925 0.971 7.085
O 1.956 2.206 2.473
O 2.093 8.133 8.029
O 2.136 7.565 3.524
O 2.775 2.743 5.485
O 2.769 -1.040 10.345
O 2.862 6.955 1.111
O 3.033 4.065 8.305
O 3.128 4.519 2.715
O 3.272 5.591 5.909
O 3.703 1.842 9.444
O 3.752 6.771 9.353
O 4.047 0.560 5.840
O 4.287 -0.448 2.869
O 4.348 -0.851 8.386
O 4.500 2.024 1.103
O 4.503 7.758 5.555
O 4.550 4.061 10.336
O 5.266 2.564 3.499
O 5.293 9.068 0.710
O 5.316 3.183 8.071
O 5.403 7.193 2.456
O 5.439 5.991 7.059
O 5.463 5.580 4.558
O 5.562 4.258 1.581
O 6.632 0.964 8.241
O 6.688 -0.157 5.280
O 6.779 9.301 2.778
O 6.807 2.515 6.251
O 6.796 8.085 7.550
O 6.819 6.057 9.169
O 6.936 2.096 1.778
O 7.703 7.605 4.391
O 7.746 -0.433 10.491
O 7.810 6.349 1.554
O 7.776 3.206 8.564
O 7.973 5.820 7.051
O 8.209 4.880 4.012
O 8.558 3.594 0.569
O 8.657 8.524 0.461
O 8.861 -0.061 4.056
O 9.127 0.861 7.154
O 9.276 1.291 1.507
O 9.281 4.472 10.505
O 9.373 2.623 4.375
O 9.485 8.395 8.930
```

***

No. 6
Entry from the Materials Project: an optimized crystal structure of LiMn2P2O10 (PBE with a Hubbard U).

## Properties
* symmetry: P1, No. 1

```
30
Lattice="6.698 0.000 0.000 3.133 6.230 0.000 0.143 -0.049 7.971" Properties=species:S:1:pos:R:3 pbc="T T T"
Li 0.000 0.000 0.000
Li 3.531 0.426 3.996
Mn 1.079 1.708 2.534
Mn 2.661 4.808 2.581
Mn 4.525 1.654 6.548
Mn 6.107 4.750 6.546
P 1.898 3.181 7.862
P 0.458 0.144 5.195
P 5.173 3.202 3.879
P 3.716 0.155 1.215
O 1.783 3.287 3.192
O 0.388 0.096 1.918
O 2.587 4.273 0.687
O 1.481 0.868 4.287
O 4.344 5.587 6.308
O 2.779 2.135 7.149
O 2.879 1.185 2.023
O 4.370 3.971 2.812
O 4.195 2.369 4.769
O 5.949 5.435 0.408
O 5.218 3.244 7.182
O 3.818 0.058 5.910
O 6.044 4.180 4.695
O 4.766 0.852 0.307
O 7.601 5.662 2.371
O 6.026 2.175 3.104
O 6.324 1.133 6.055
O 7.816 3.907 6.747
O 7.455 2.457 0.795
O 9.343 5.467 4.387
```

***

No. 7
Entry from the Materials Project: an optimized crystal structure of LiMnPO5 (PBE with a Hubbard U).

## Properties
* symmetry: Pna2_1, No. 33

```
64
Lattice="12.353 0.000 0.000 0.000 6.108 0.000 0.000 0.000 10.431" Properties=species:S:1:pos:R:3 pbc="T T T"
Li 1.356 1.230 0.000
Li 2.135 4.430 7.549
Li 4.041 1.376 2.333
Li 4.821 4.284 5.216
Li 7.532 1.824 0.000
Li 8.311 4.731 7.549
Li 10.218 1.677 2.333
Li 10.997 4.878 5.216
Mn 1.568 6.067 4.238
Mn 3.058 4.538 1.595
Mn 3.119 1.484 6.811
Mn 4.608 3.013 9.454
Mn 7.745 3.095 4.238
Mn 9.234 4.624 1.595
Mn 9.295 1.570 6.811
Mn 10.785 0.041 9.454
P 0.015 0.985 6.863
P 2.312 3.013 4.227
P 3.864 6.067 9.443
P 6.161 4.039 1.647
P 6.191 2.069 6.863
P 8.489 0.041 4.227
P 10.041 3.095 9.443
P 12.338 5.123 1.647
O 0.056 5.961 2.940
O 0.107 6.098 5.672
O 1.187 4.156 1.481
O 1.243 1.937 6.903
O 1.365 4.188 4.465
O 1.390 1.820 4.018
O 2.853 0.051 5.588
O 2.853 5.946 2.892
O 2.871 5.923 0.213
O 2.905 0.139 8.222
O 3.272 3.193 3.006
O 3.305 2.869 5.429
O 3.323 2.892 8.108
O 3.323 3.105 0.372
O 4.786 4.874 9.234
O 4.812 1.134 9.681
O 4.933 4.990 1.688
O 4.990 1.102 6.696
O 6.069 3.044 0.456
O 6.120 2.907 8.156
O 6.233 3.200 2.940
O 6.284 3.064 5.672
O 7.363 5.006 1.481
O 7.420 1.117 6.903
O 7.541 4.973 4.465
O 7.566 1.234 4.018
O 9.029 3.003 5.588
O 9.030 3.216 2.892
O 9.047 3.239 0.213
O 9.081 2.915 8.222
O 9.448 5.969 3.006
O 9.482 0.185 5.429
O 9.500 0.162 8.108
O 9.500 6.057 0.372
O 10.963 4.288 9.234
O 10.988 1.919 9.681
O 11.110 4.171 1.688
O 11.166 1.952 6.696
O 12.246 0.010 0.456
O 12.297 0.147 8.156
```

***

No. 8
Entry from the Materials Project: an optimized crystal structure of LiMnPO5 (PBE with a Hubbard U).

## Properties
* symmetry: Pnma, No. 62

```
32
Lattice="7.106 0.000 0.000 0.000 6.288 0.000 0.000 0.000 7.426" Properties=species:S:1:pos:R:3 pbc="T T T"
Li 0.000 0.000 0.000
Li 0.000 3.144 0.000
Li 3.553 0.000 3.713
Li 3.553 3.144 3.713
Mn 1.000 1.572 2.003
Mn 2.553 4.716 5.716
Mn 4.553 1.572 1.710
Mn 6.106 4.716 5.423
P 0.880 4.716 2.824
P 2.673 1.572 6.537
P 4.433 4.716 0.889
P 6.226 1.572 4.602
O 0.438 1.572 3.803
O 0.766 4.716 6.230
O 0.924 3.510 1.857
O 0.924 5.922 1.857
O 1.428 1.572 0.039
O 2.125 4.716 3.752
O 2.629 0.366 5.570
O 2.629 2.778 5.570
O 2.787 1.572 2.517
O 3.115 4.716 0.090
O 3.991 1.572 7.337
O 4.319 4.716 4.909
O 4.477 3.510 1.856
O 4.477 5.922 1.856
O 4.981 1.572 3.674
O 5.677 4.716 7.387
O 6.182 0.366 5.570
O 6.182 2.778 5.570
O 6.340 1.572 1.196
O 6.668 4.716 3.623
```

***

Number 1: raw total energy -49.9 eV per formula unit, total moment 5.0 μB/f.u.. Number 2: raw total energy -50.0 eV per formula unit, total moment 0.0 μB/f.u.. Number 3: raw total energy -77.6 eV per formula unit, total moment 4.0 μB/f.u.. Number 4: raw total energy -50.1 eV per formula unit, total moment 5.0 μB/f.u.. Number 5: raw total energy -77.7 eV per formula unit, total moment 4.0 μB/f.u.. Number 6: raw total energy -103.1 eV per formula unit, total moment 5.0 μB/f.u.. Number 7: raw total energy -54.5 eV per formula unit, total moment 3.0 μB/f.u.. Number 8: raw total energy -54.8 eV per formula unit, total moment 3.0 μB/f.u..